# 1
A plane-wave DFT calculation with PBE was carried out for Cs3ScF6 after structural relaxation.

Structure (POSCAR):
```
Cs3ScF6
1.0
0.000 4.888 4.888
4.888 0.000 4.888
4.888 4.888 0.000
Cs Sc F
3 1 6
Cartesian
0.000 0.000 0.000
2.444 2.444 2.444
7.332 7.332 7.332
4.888 4.888 4.888
4.888 4.888 2.845
4.888 2.845 4.888
6.931 4.888 4.888
2.845 4.888 4.888
4.888 6.931 4.888
4.888 4.888 6.931
```

energy with MP2020 corrections	-55.78	eV per cell
calculated formation energy	-35.272	eV/f.u.
calculated volume	234	Å³/cell
SG	Fm-3m (225)

# 2
A plane-wave DFT calculation with PBE was carried out for Cs3ScF6 after structural relaxation.

Structure (POSCAR):
```
Cs3ScF6
1.0
6.808 0.000 0.000
0.000 6.808 0.000
0.000 0.000 9.926
Cs Sc F
6 2 12
Cartesian
0.000 0.000 0.000
0.000 3.404 2.482
0.000 3.404 7.445
3.404 0.000 2.482
3.404 0.000 7.445
3.404 3.404 4.963
0.000 0.000 4.963
3.404 3.404 0.000
0.000 0.000 2.914
0.000 0.000 7.012
0.938 1.818 4.963
1.586 2.467 0.000
1.818 5.871 4.963
2.467 5.222 0.000
3.404 3.404 2.049
3.404 3.404 7.877
4.342 1.586 0.000
4.990 0.938 4.963
5.222 4.342 0.000
5.871 4.990 4.963
```

energy with MP2020 corrections	-111.79	eV per cell
calculated formation energy	-35.390	eV/f.u.
calculated volume	460	Å³/cell
SG	P4/mnc (128)

# 3
A plane-wave DFT calculation with PBE was carried out for Cs2ScTlF6 after structural relaxation.

Structure (POSCAR):
```
Cs2ScTlF6
1.0
0.000 4.769 4.769
4.769 0.000 4.769
4.769 4.769 0.000
Cs Sc Tl F
2 1 1 6
Cartesian
2.385 2.385 2.385
7.154 7.154 7.154
0.000 0.000 0.000
4.769 4.769 4.769
4.769 4.769 2.044
4.769 2.044 4.769
7.494 4.769 4.769
2.044 4.769 4.769
4.769 7.494 4.769
4.769 4.769 7.494
```

energy with MP2020 corrections	-55.53	eV per cell
calculated formation energy	-33.554	eV/f.u.
calculated volume	217	Å³/cell
SG	Fm-3m (225)
M_tot	0.00	μB per cell

# 4
A plane-wave DFT calculation with PBE was carried out for CsSnF3 after structural relaxation.

Structure (POSCAR):
```
CsSnF3
1.0
3.594 2.075 5.362
-3.594 2.075 5.362
0.000 -4.150 5.362
Cs Sn F
2 2 6
Cartesian
0.000 0.000 0.000
0.000 0.000 8.043
0.000 0.000 3.996
0.000 0.000 12.039
-3.027 0.489 8.079
1.090 -2.866 8.079
-0.567 -1.586 10.760
-1.090 1.284 10.760
1.657 0.302 10.760
1.937 2.377 8.079
```

energy with MP2020 corrections	-48.97	eV per cell
calculated formation energy	-13.838	eV/f.u.
calculated volume	240	Å³/cell
SG	R3c (161)

# 5
A plane-wave DFT calculation with PBE was carried out for CsSnF3 after structural relaxation.

Structure (POSCAR):
```
CsSnF3
1.0
4.961 0.000 0.000
0.000 6.669 0.000
-4.680 0.000 14.598
Cs Sn F
4 4 12
Cartesian
-1.079 0.151 5.231
-3.420 3.184 12.530
3.701 3.485 2.068
1.360 6.519 9.367
1.270 0.164 1.689
-1.070 3.171 8.988
1.352 3.498 5.610
-0.989 6.505 12.909
-1.529 3.665 5.256
-3.869 6.339 12.555
-1.125 1.310 8.046
1.215 2.025 0.747
1.099 4.562 3.843
-1.241 5.442 11.142
1.522 1.227 3.456
-0.818 2.107 10.755
-0.934 4.645 13.851
1.406 5.359 6.552
4.150 0.330 2.043
1.810 3.004 9.342
```

energy with MP2020 corrections	-98.22	eV per cell
calculated formation energy	-13.906	eV/f.u.
calculated volume	483	Å³/cell
SG	P2_1/c (14)
M_tot	0.00	μB per cell

# 6
A plane-wave DFT calculation with PBE was carried out for Cs2SnF6 after structural relaxation.

Structure (POSCAR):
```
Cs2SnF6
1.0
6.440 0.000 0.000
-3.220 5.577 0.000
0.000 0.000 5.175
Cs Sn F
2 1 6
Cartesian
0.000 3.718 1.582
3.220 1.859 3.593
0.000 0.000 0.000
0.000 1.678 4.062
-1.767 4.738 4.062
1.453 0.839 1.113
1.767 4.738 4.062
4.986 0.839 1.113
3.220 3.899 1.113
```

energy with MP2020 corrections	-44.68	eV per cell
calculated formation energy	-27.394	eV/f.u.
calculated volume	186	Å³/cell
SG	P-3m1 (164)